Material: Er2CuIr
Method: DFT, PBE
State: relaxed

Cell lengths 6.8280, 6.8280, 6.8280 Å; angles 90.00, 90.00, 90.00 degrees
Space group Fm-3m (No. 225)
Symmetry-distinct sites (fractional):
Er 0.2500 0.2500 0.2500 [8 per cell]
Cu 0.0000 0.0000 0.0000 [4 per cell]
Ir 0.0000 0.0000 0.5000 [4 per cell]

* DFT total energy: -6.16 eV per atom
* formation energy from the elements: -0.644 eV/atom
* volume: 19.896 A^3/atom

Material: Rb12Sn2Bi6O
Method: DFT, PBE
State: relaxed

Cell lengths 12.7983, 12.7983, 6.4794 Å; angles 90.00, 90.00, 120.00 degrees
Space group P-3m1 (No. 164)
Symmetry-distinct sites (fractional):
Rb 0.0932 0.5466 0.2510 [6 per cell]
Rb 0.1101 0.2201 0.2225 [6 per cell]
Sn 0.3333 0.6667 0.7501 [2 per cell]
Bi 0.2052 0.4103 0.7413 [6 per cell]
O 0.0000 0.0000 0.0000 [1 per cell]

* DFT total energy: -2.71 eV per atom
* formation energy from the elements: -0.449 eV/atom
* magnetic moment: 0.00 μB per cell
* volume: 43.767 A^3/atom

Material: GaSe3N2Cl5
Method: DFT, PBE
State: relaxed

Cell lengths 9.8089, 11.1759, 15.2490 Å; angles 90.00, 129.08, 90.00 degrees
Space group P2_1/c (No. 14)
Symmetry-distinct sites (fractional):
Ga 0.2154 0.1344 0.1877 [4 per cell]
Se 0.1443 0.7496 0.1864 [4 per cell]
Se 0.3322 0.5183 0.3172 [4 per cell]
Se 0.3379 0.7261 0.8956 [4 per cell]
N 0.1941 0.5973 0.1917 [4 per cell]
N 0.3867 0.6213 0.4255 [4 per cell]
Cl 0.0282 0.2158 0.5993 [4 per cell]
Cl 0.1150 0.0136 0.2523 [4 per cell]
Cl 0.2402 0.0324 0.0756 [4 per cell]
Cl 0.4258 0.1376 0.5741 [4 per cell]
Cl 0.4730 0.2073 0.3297 [4 per cell]

* DFT total energy: -3.84 eV per atom
* formation energy from the elements: -0.535 eV/atom
* magnetic moment: 0.00 μB per cell
* volume: 29.494 A^3/atom

Material: Ta3Bi2S6
Method: DFT, PBE
State: relaxed

Cell lengths 5.7592, 5.7592, 17.5844 Å; angles 90.00, 90.00, 120.00 degrees
Space group P6_3/mcm (No. 193)
Symmetry-distinct sites (fractional):
Ta 0.0000 0.3265 0.2500 [6 per cell]
Bi 0.3333 0.6667 0.0000 [4 per cell]
S 0.0000 0.0000 0.1589 [4 per cell]
S 0.3333 0.6667 0.1624 [8 per cell]

* DFT total energy: -7.10 eV per atom
* formation energy from the elements: -1.172 eV/atom
* volume: 22.960 A^3/atom

Material: AcMgZn2
Method: DFT, PBE
State: relaxed

Cell lengths 7.3253, 7.3253, 7.3253 Å; angles 90.00, 90.00, 90.00 degrees
Space group Fm-3m (No. 225)
Symmetry-distinct sites (fractional):
Ac 0.0000 0.0000 0.0000 [4 per cell]
Mg 0.0000 0.0000 0.5000 [4 per cell]
Zn 0.2500 0.2500 0.2500 [8 per cell]

* DFT total energy: -2.30 eV per atom
* formation energy from the elements: -0.243 eV/atom
* volume: 24.567 A^3/atom

Material: ReC2
Method: DFT, PBE
State: relaxed

Cell lengths 2.6884, 2.6884, 3.8485 Å; angles 90.00, 90.00, 90.00 degrees
Space group P4/mmm (No. 123)
Symmetry-distinct sites (fractional):
Re 0.0000 0.0000 0.0000 [1 per cell]
C 0.5000 0.5000 0.3159 [2 per cell]

* DFT total energy: -9.40 eV per atom
* formation energy from the elements: 0.897 eV/atom
* magnetic moment: 0.00 μB per cell
* E above lowest polymorph: 462 meV/atom
* volume: 9.271 A^3/atom

Material: Bi25BO39
Method: DFT, PBE
State: relaxed

Cell lengths 9.3174, 9.6060, 14.6198 Å; angles 93.06, 90.43, 113.53 degrees
Space group P1 (No. 1)
Symmetry-distinct sites (fractional):
Bi 0.0000 0.0000 0.0000 [1 per cell]
Bi 0.0144 0.3859 0.1543 [1 per cell]
Bi 0.0722 0.2975 0.3960 [1 per cell]
Bi 0.1633 0.5163 0.6093 [1 per cell]
Bi 0.1783 0.8645 0.7852 [1 per cell]
Bi 0.1820 0.4257 0.9217 [1 per cell]
Bi 0.2271 0.1306 0.2134 [1 per cell]
Bi 0.2990 0.7080 0.3320 [1 per cell]
Bi 0.3216 0.0677 0.4670 [1 per cell]
Bi 0.4403 0.2287 0.7289 [1 per cell]
Bi 0.4656 0.2129 0.9800 [1 per cell]
Bi 0.4950 0.5271 0.1484 [1 per cell]
Bi 0.4980 0.4995 0.4927 [1 per cell]
Bi 0.5139 0.8762 0.6361 [1 per cell]
Bi 0.5649 0.7240 0.9315 [1 per cell]
Bi 0.6331 0.2953 0.3130 [1 per cell]
Bi 0.6817 0.9930 0.4149 [1 per cell]
Bi 0.6844 0.9836 0.1609 [1 per cell]
Bi 0.6864 0.6338 0.7056 [1 per cell]
Bi 0.7555 0.1118 0.8408 [1 per cell]
Bi 0.8500 0.5779 0.0048 [1 per cell]
Bi 0.8966 0.4634 0.7738 [1 per cell]
Bi 0.9060 0.7377 0.2492 [1 per cell]
Bi 0.9638 0.7066 0.4894 [1 per cell]
Bi 0.9903 0.0786 0.6205 [1 per cell]
B 0.7951 0.3308 0.5326 [1 per cell]
O 0.0433 0.5730 0.9038 [1 per cell]
O 0.0473 0.9690 0.5048 [1 per cell]
O 0.0617 0.5800 0.2506 [1 per cell]
O 0.0885 0.4027 0.7385 [1 per cell]
O 0.1112 0.2800 0.5480 [1 per cell]
O 0.1642 0.8216 0.3869 [1 per cell]
O 0.1701 0.3290 0.2396 [1 per cell]
O 0.2261 0.0368 0.6850 [1 per cell]
O 0.2256 0.4838 0.0675 [1 per cell]
O 0.2292 0.1329 0.0584 [1 per cell]
O 0.2458 0.5226 0.4274 [1 per cell]
O 0.2684 0.2104 0.3759 [1 per cell]
O 0.2799 0.7408 0.7119 [1 per cell]
O 0.3254 0.2145 0.8649 [1 per cell]
O 0.4298 0.2950 0.5647 [1 per cell]
O 0.4307 0.5942 0.6161 [1 per cell]
O 0.4663 0.2726 0.1918 [1 per cell]
O 0.4700 0.8195 0.4561 [1 per cell]
O 0.4857 0.0564 0.3358 [1 per cell]
O 0.5164 0.0491 0.7571 [1 per cell]
O 0.5284 0.4514 0.0112 [1 per cell]
O 0.6014 0.7460 0.0751 [1 per cell]
O 0.6661 0.8402 0.7419 [1 per cell]
O 0.6695 0.9684 0.9510 [1 per cell]
O 0.6765 0.2190 0.4775 [1 per cell]
O 0.6885 0.2930 0.8900 [1 per cell]
O 0.7130 0.8487 0.2624 [1 per cell]
O 0.7273 0.6520 0.5633 [1 per cell]
O 0.7365 0.5411 0.1764 [1 per cell]
O 0.7528 0.9889 0.5635 [1 per cell]
O 0.7702 0.6864 0.8981 [1 per cell]
O 0.7883 0.3492 0.6265 [1 per cell]
O 0.7955 0.2158 0.2536 [1 per cell]
O 0.8029 0.6484 0.3778 [1 per cell]
O 0.9244 0.4285 0.4858 [1 per cell]
O 0.9268 0.0723 0.1249 [1 per cell]
O 0.9542 0.7041 0.7191 [1 per cell]
O 0.9790 0.2284 0.9379 [1 per cell]
O 0.9829 0.7942 0.0716 [1 per cell]

* DFT total energy: -5.75 eV per atom
* formation energy from the elements: -1.595 eV/atom
* magnetic moment: 0.00 μB per cell
* volume: 18.422 A^3/atom

Material: Na6Hf7MgP12O48
Method: DFT, PBE
State: relaxed

Cell lengths 8.8777, 15.3521, 23.0735 Å; angles 89.97, 89.97, 89.97 degrees
Space group P1 (No. 1)
Symmetry-distinct sites (fractional):
Na 0.0000 0.0000 0.0000 [1 per cell]
Na 0.0004 0.0019 0.5016 [1 per cell]
Na 0.0017 0.3351 0.6660 [1 per cell]
Na 0.0142 0.3351 0.1723 [1 per cell]
Na 0.0141 0.6714 0.8369 [1 per cell]
Na 0.3238 0.6884 0.2594 [1 per cell]
Na 0.3691 0.9955 0.2597 [1 per cell]
Na 0.4869 0.8352 0.6706 [1 per cell]
Na 0.4936 0.1747 0.3418 [1 per cell]
Na 0.4955 0.1721 0.8361 [1 per cell]
Na 0.5013 0.5019 0.5014 [1 per cell]
Na 0.5029 0.5039 0.0007 [1 per cell]
Na 0.5139 0.8347 0.1707 [1 per cell]
Na 0.6306 0.9955 0.7570 [1 per cell]
Na 0.6782 0.6901 0.7568 [1 per cell]
Na 0.8236 0.1883 0.2596 [1 per cell]
Na 0.8691 0.4958 0.2596 [1 per cell]
Na 0.9938 0.6747 0.3415 [1 per cell]
Hf 0.9998 0.0013 0.1475 [1 per cell]
Hf 0.0001 0.0006 0.3578 [1 per cell]
Hf 0.9999 0.3354 0.0218 [1 per cell]
Hf 0.9999 0.6694 0.9812 [1 per cell]
Hf 0.0006 0.3353 0.5191 [1 per cell]
Hf 0.0011 0.6684 0.4817 [1 per cell]
Hf 0.0020 0.3353 0.8152 [1 per cell]
Hf 0.0041 0.0022 0.6477 [1 per cell]
Hf 0.0046 0.9997 0.8560 [1 per cell]
Hf 0.0081 0.6682 0.6871 [1 per cell]
Hf 0.4972 0.1715 0.6874 [1 per cell]
Hf 0.4977 0.1710 0.1865 [1 per cell]
Hf 0.4993 0.5016 0.1474 [1 per cell]
Hf 0.4995 0.5030 0.8563 [1 per cell]
Hf 0.4997 0.5007 0.3578 [1 per cell]
Hf 0.5001 0.5012 0.6474 [1 per cell]
Hf 0.5007 0.8354 0.0192 [1 per cell]
Hf 0.5021 0.1673 0.9811 [1 per cell]
Hf 0.5019 0.1682 0.4818 [1 per cell]
Hf 0.5021 0.8355 0.5200 [1 per cell]
Hf 0.9982 0.6712 0.1864 [1 per cell]
Mg 0.0089 0.3349 0.3201 [1 per cell]
Mg 0.4925 0.8350 0.8187 [1 per cell]
Mg 0.5088 0.8348 0.3201 [1 per cell]
P 0.1452 0.1474 0.2518 [1 per cell]
P 0.1462 0.1902 0.9187 [1 per cell]
P 0.1458 0.4801 0.9188 [1 per cell]
P 0.1461 0.5224 0.5847 [1 per cell]
P 0.1468 0.8564 0.2519 [1 per cell]
P 0.1477 0.8142 0.5846 [1 per cell]
P 0.2096 0.1693 0.5845 [1 per cell]
P 0.2097 0.5006 0.2512 [1 per cell]
P 0.2116 0.8347 0.9176 [1 per cell]
P 0.2908 0.3341 0.4174 [1 per cell]
P 0.2924 0.6693 0.0853 [1 per cell]
P 0.2935 0.0009 0.7517 [1 per cell]
P 0.3552 0.3145 0.0839 [1 per cell]
P 0.3548 0.6910 0.4158 [1 per cell]
P 0.3558 0.0225 0.0856 [1 per cell]
P 0.3565 0.3576 0.7523 [1 per cell]
P 0.3565 0.6479 0.7520 [1 per cell]
P 0.3571 0.9808 0.4159 [1 per cell]
P 0.6462 0.0230 0.5865 [1 per cell]
P 0.6455 0.6473 0.2518 [1 per cell]
P 0.6468 0.3565 0.2518 [1 per cell]
P 0.6467 0.6906 0.9158 [1 per cell]
P 0.6469 0.9803 0.9157 [1 per cell]
P 0.6476 0.3138 0.5849 [1 per cell]
P 0.7098 0.0006 0.2512 [1 per cell]
P 0.7113 0.3354 0.9184 [1 per cell]
P 0.7107 0.6692 0.5864 [1 per cell]
P 0.7905 0.5016 0.7514 [1 per cell]
P 0.7906 0.8344 0.4174 [1 per cell]
P 0.7923 0.1690 0.0857 [1 per cell]
P 0.8538 0.8148 0.0843 [1 per cell]
P 0.8548 0.1906 0.4155 [1 per cell]
P 0.8555 0.8559 0.7517 [1 per cell]
P 0.8556 0.5230 0.0858 [1 per cell]
P 0.8566 0.1467 0.7518 [1 per cell]
P 0.8567 0.4809 0.4156 [1 per cell]
O 0.0707 0.2365 0.2568 [1 per cell]
O 0.0733 0.4319 0.5785 [1 per cell]
O 0.0742 0.0994 0.9121 [1 per cell]
O 0.0746 0.5714 0.9250 [1 per cell]
O 0.0753 0.9053 0.5916 [1 per cell]
O 0.0764 0.1015 0.1979 [1 per cell]
O 0.0770 0.7636 0.2453 [1 per cell]
O 0.0770 0.8999 0.3056 [1 per cell]
O 0.0784 0.2345 0.9727 [1 per cell]
O 0.0783 0.4362 0.8647 [1 per cell]
O 0.0785 0.5665 0.6392 [1 per cell]
O 0.0798 0.7699 0.5312 [1 per cell]
O 0.1029 0.4232 0.2561 [1 per cell]
O 0.1066 0.7543 0.9269 [1 per cell]
O 0.1091 0.2506 0.5785 [1 per cell]
O 0.1096 0.0875 0.5912 [1 per cell]
O 0.1095 0.9175 0.9134 [1 per cell]
O 0.1114 0.5860 0.2445 [1 per cell]
O 0.1123 0.9139 0.1984 [1 per cell]
O 0.1132 0.4245 0.9729 [1 per cell]
O 0.1144 0.2463 0.8646 [1 per cell]
O 0.1141 0.5787 0.5313 [1 per cell]
O 0.1156 0.7580 0.6391 [1 per cell]
O 0.1192 0.0880 0.3050 [1 per cell]
O 0.1820 0.9906 0.4126 [1 per cell]
O 0.1832 0.0136 0.0919 [1 per cell]
O 0.1832 0.3235 0.0783 [1 per cell]
O 0.1833 0.6559 0.7454 [1 per cell]
O 0.1826 0.6791 0.4259 [1 per cell]
O 0.1838 0.3477 0.7589 [1 per cell]
O 0.1885 0.6575 0.0328 [1 per cell]
O 0.1911 0.9925 0.6978 [1 per cell]
O 0.1920 0.3468 0.4722 [1 per cell]
O 0.1930 0.0142 0.8057 [1 per cell]
O 0.1961 0.6805 0.1413 [1 per cell]
O 0.1990 0.3202 0.3634 [1 per cell]
O 0.3039 0.8204 0.8638 [1 per cell]
O 0.3094 0.1813 0.6391 [1 per cell]
O 0.3100 0.1574 0.5311 [1 per cell]
O 0.3097 0.8473 0.9727 [1 per cell]
O 0.3111 0.4913 0.1971 [1 per cell]
O 0.3112 0.5177 0.3043 [1 per cell]
O 0.3191 0.1810 0.9251 [1 per cell]
O 0.3185 0.4891 0.9127 [1 per cell]
O 0.3188 0.5133 0.5915 [1 per cell]
O 0.3186 0.8467 0.2560 [1 per cell]
O 0.3200 0.1525 0.2445 [1 per cell]
O 0.3195 0.8233 0.5784 [1 per cell]
O 0.3782 0.7406 0.3594 [1 per cell]
O 0.3870 0.2586 0.1386 [1 per cell]
O 0.3879 0.4126 0.6980 [1 per cell]
O 0.3875 0.5909 0.8062 [1 per cell]
O 0.3902 0.0805 0.0329 [1 per cell]
O 0.3922 0.4172 0.4127 [1 per cell]
O 0.3923 0.7506 0.0787 [1 per cell]
O 0.3919 0.9233 0.4694 [1 per cell]
O 0.3927 0.5874 0.0913 [1 per cell]
O 0.3956 0.0840 0.7456 [1 per cell]
O 0.3962 0.2542 0.4266 [1 per cell]
O 0.3984 0.9223 0.7559 [1 per cell]
O 0.4191 0.9439 0.3595 [1 per cell]
O 0.4211 0.0653 0.1414 [1 per cell]
O 0.4232 0.2699 0.0306 [1 per cell]
O 0.4244 0.4012 0.8063 [1 per cell]
O 0.4245 0.7368 0.4693 [1 per cell]
O 0.4263 0.0728 0.4257 [1 per cell]
O 0.4261 0.6008 0.6987 [1 per cell]
O 0.4277 0.4051 0.0907 [1 per cell]
O 0.4280 0.5985 0.4121 [1 per cell]
O 0.4287 0.2661 0.7462 [1 per cell]
O 0.4291 0.9323 0.0790 [1 per cell]
O 0.4334 0.7366 0.7563 [1 per cell]
O 0.5709 0.7365 0.2569 [1 per cell]
O 0.5732 0.9325 0.5792 [1 per cell]
O 0.5740 0.5980 0.9127 [1 per cell]
O 0.5750 0.4049 0.5917 [1 per cell]
O 0.5770 0.0726 0.9262 [1 per cell]
O 0.5769 0.2636 0.2452 [1 per cell]
O 0.5771 0.3999 0.3056 [1 per cell]
O 0.5765 0.6014 0.1979 [1 per cell]
O 0.5772 0.7358 0.9697 [1 per cell]
O 0.5795 0.2698 0.5314 [1 per cell]
O 0.5807 0.0656 0.6422 [1 per cell]
O 0.5835 0.9433 0.8598 [1 per cell]
O 0.6030 0.9233 0.2562 [1 per cell]
O 0.6100 0.5871 0.5924 [1 per cell]
O 0.6102 0.7505 0.5793 [1 per cell]
O 0.6115 0.0861 0.2445 [1 per cell]
O 0.6109 0.2537 0.9249 [1 per cell]
O 0.6113 0.4170 0.9118 [1 per cell]
O 0.6124 0.0805 0.5335 [1 per cell]
O 0.6122 0.4139 0.1983 [1 per cell]
O 0.6125 0.9234 0.9697 [1 per cell]
O 0.6150 0.2581 0.6395 [1 per cell]
O 0.6194 0.5880 0.3050 [1 per cell]
O 0.6230 0.7406 0.8598 [1 per cell]
O 0.6822 0.1525 0.7455 [1 per cell]
O 0.6816 0.4905 0.4126 [1 per cell]
O 0.6823 0.8239 0.0785 [1 per cell]
O 0.6828 0.1789 0.4258 [1 per cell]
O 0.6831 0.5136 0.0917 [1 per cell]
O 0.6836 0.8467 0.7560 [1 per cell]
O 0.6890 0.1580 0.0329 [1 per cell]
O 0.6898 0.5167 0.8051 [1 per cell]
O 0.6914 0.4893 0.6975 [1 per cell]
O 0.6924 0.8469 0.4723 [1 per cell]
O 0.6961 0.1807 0.1415 [1 per cell]
O 0.6989 0.8201 0.3633 [1 per cell]
O 0.8067 0.6803 0.6422 [1 per cell]
O 0.8113 0.0179 0.3043 [1 per cell]
O 0.8106 0.3474 0.9726 [1 per cell]
O 0.8113 0.9914 0.1971 [1 per cell]
O 0.8117 0.3237 0.8645 [1 per cell]
O 0.8140 0.6572 0.5336 [1 per cell]
O 0.8192 0.0137 0.5925 [1 per cell]
O 0.8187 0.3468 0.2559 [1 per cell]
O 0.8189 0.6781 0.9263 [1 per cell]
O 0.8195 0.3233 0.5787 [1 per cell]
O 0.8203 0.6524 0.2445 [1 per cell]
O 0.8213 0.9910 0.9125 [1 per cell]
O 0.8782 0.2407 0.3593 [1 per cell]
O 0.8848 0.0886 0.8053 [1 per cell]
O 0.8861 0.5860 0.7449 [1 per cell]
O 0.8860 0.7587 0.1390 [1 per cell]
O 0.8902 0.9142 0.6986 [1 per cell]
O 0.8914 0.4236 0.4692 [1 per cell]
O 0.8906 0.5803 0.0331 [1 per cell]
O 0.8925 0.0873 0.0914 [1 per cell]
O 0.8920 0.2506 0.0793 [1 per cell]
O 0.8923 0.9173 0.4127 [1 per cell]
O 0.8935 0.4216 0.7586 [1 per cell]
O 0.8956 0.7542 0.4265 [1 per cell]
O 0.9192 0.4439 0.3595 [1 per cell]
O 0.9211 0.5651 0.1416 [1 per cell]
O 0.9219 0.7703 0.0310 [1 per cell]
O 0.9239 0.1036 0.6975 [1 per cell]
O 0.9241 0.2364 0.4691 [1 per cell]
O 0.9249 0.7633 0.7452 [1 per cell]
O 0.9250 0.8995 0.8058 [1 per cell]
O 0.9258 0.2382 0.7589 [1 per cell]
O 0.9255 0.5729 0.4256 [1 per cell]
O 0.9266 0.9054 0.0912 [1 per cell]
O 0.9281 0.0983 0.4121 [1 per cell]
O 0.9286 0.4324 0.0793 [1 per cell]

* DFT total energy: -7.88 eV per atom
* formation energy from the elements: -3.170 eV/atom
* magnetic moment: 0.00 μB per cell
* volume: 14.165 A^3/atom

The lowest DFT total energy belongs to which entry? ReC2